Density functional theory data (PBE) for a geometry-optimized MoWSe4 structure.

Energy above the most stable polymorph in this dataset (meV/atom): 0
Crystal system: trigonal
Space-group type: P3m1 (156)
Energy of formation (eV/atom): -1.05

Cell: 3.323 3.323 23.619 Å, 90.00 90.00 120.00°
Fractional coordinates of all 6 atoms:
1 Mo 0.667 0.333 0.451
2 W 0.333 0.667 0.150
3 Se 0.333 0.667 0.522
4 Se 0.667 0.333 0.079
5 Se 0.667 0.333 0.222
6 Se 0.333 0.667 0.380